DFT (GGA-PBE) results for a relaxed SrYGa3O7 crystal.

Unit cell a=8.0183 b=8.0183 c=5.2984 alpha=90.00 beta=90.00 gamma=91.65
Element x y z (fractional)
Y  0.3404  0.3404  0.5179
Y  0.6596  0.6596  0.5179
O  0.5000  0.5000  0.2215
O  0.1017  0.3448  0.7823
O  0.1594  0.1594  0.3081
O  0.4184  0.8354  0.2044
O  0.3448  0.1017  0.7823
O  0.8406  0.8406  0.3081
O  0.0000  0.0000  0.8243
O  0.1646  0.5816  0.2044
O  0.6552  0.8983  0.7823
O  0.3764  0.6236  0.6919
O  0.6236  0.3764  0.6919
O  0.8354  0.4184  0.2044
O  0.5816  0.1646  0.2044
O  0.8983  0.6552  0.7823
Sr  0.1625  0.8375  0.4915
Sr  0.8375  0.1625  0.4915
Ga  0.8498  0.8498  0.9674
Ga  0.1502  0.1502  0.9674
Ga  0.5000  0.0000  0.9918
Ga  0.0000  0.5000  0.9918
Ga  0.3609  0.6391  0.0353
Ga  0.6391  0.3609  0.0353

* symmetry: Cmm2, No. 35
* MP2020-corrected energy: -171.72 eV per cell
* calculated volume: 340.5 Å³ per cell
* ΔH_f (0 K): -2.832 eV per atom



DFT (GGA-PBE) results for a relaxed TaGaO4 crystal.

Unit cell a=4.6710 b=5.0079 c=5.6509 alpha=90.00 beta=90.00 gamma=90.00
Element x y z (fractional)
Ta  0.0000  0.0000  0.8201
Ta  0.5000  0.0000  0.3201
O  0.7728  0.6769  0.8897
O  0.7268  0.1684  0.6154
O  0.2272  0.3231  0.8897
O  0.7732  0.1684  0.1154
O  0.2732  0.8316  0.6154
O  0.2268  0.8316  0.1154
O  0.7272  0.6769  0.3897
O  0.2728  0.3231  0.3897
Ga  0.5000  0.5000  0.6697
Ga  0.0000  0.5000  0.1697

* maximum piezoelectric response: 1.74 C/m²
* symmetry: Pnc2, No. 30
* MP2020-corrected energy: -103.66 eV per cell
* calculated volume: 132.2 Å³ per cell
* ΔH_f (0 K): -2.859 eV per atom



DFT (GGA-PBE) results for a relaxed TaGaO4 crystal.

Unit cell a=5.0037 b=5.6410 c=9.3757 alpha=90.00 beta=90.00 gamma=90.00
Element x y z (fractional)
O  0.9176  0.3585  0.9868
O  0.0754  0.1452  0.7595
O  0.9176  0.8585  0.5132
O  0.4233  0.6375  0.5084
O  0.5757  0.8762  0.7372
O  0.9233  0.8625  0.0084
O  0.4176  0.1415  0.4868
O  0.0757  0.1238  0.2628
O  0.5754  0.3548  0.2595
O  0.5754  0.8548  0.2405
O  0.4176  0.6415  0.0132
O  0.4233  0.1375  0.9916
O  0.5757  0.3762  0.7628
O  0.9233  0.3625  0.4916
O  0.0754  0.6452  0.7405
O  0.0757  0.6238  0.2372
Ga  0.7453  0.5651  0.1202
Ga  0.2453  0.4349  0.8798
Ga  0.7453  0.0651  0.3798
Ga  0.2453  0.9349  0.6202
Ta  0.2627  0.9196  0.1273
Ta  0.7627  0.0804  0.8727
Ta  0.7627  0.5804  0.6273
Ta  0.2627  0.4196  0.3727

* maximum piezoelectric response: 0.62 C/m²
* symmetry: Pna2_1, No. 33
* MP2020-corrected energy: -207.22 eV per cell
* calculated volume: 264.6 Å³ per cell
* ΔH_f (0 K): -2.854 eV per atom



DFT (GGA-PBE) results for a relaxed TaTiGaO6 crystal.

Unit cell a=4.6783 b=4.6783 c=9.0808 alpha=90.00 beta=90.00 gamma=90.00
Element x y z (fractional)
Ti  0.0000  0.0000  0.9994
Ti  0.5000  0.5000  0.4994
O  0.6948  0.6948  0.6658
O  0.6993  0.6993  0.9990
O  0.1954  0.8046  0.8352
O  0.8052  0.1948  0.1658
O  0.3052  0.3052  0.6658
O  0.1948  0.8052  0.1658
O  0.3007  0.3007  0.9990
O  0.3046  0.3046  0.3352
O  0.1993  0.8007  0.4990
O  0.8007  0.1993  0.4990
O  0.8046  0.1954  0.8352
O  0.6954  0.6954  0.3352
Ta  0.5000  0.5000  0.8334
Ta  0.0000  0.0000  0.3334
Ga  0.0000  0.0000  0.6673
Ga  0.5000  0.5000  0.1673

* symmetry: P4_2nm, No. 102
* MP2020-corrected energy: -160.01 eV per cell
* calculated volume: 198.8 Å³ per cell
* ΔH_f (0 K): -3.060 eV per atom